# 1
An optimized crystal structure of Ca2Cu6P5. Source: Materials Project, functional PBE.

Output
E_form: -6.1 eV/f.u.

a b c (Å): 12.645 12.645 12.645
angles (deg): 161.76 161.76 25.90
Atoms (fractional coordinates):
Ca 0.649 0.649 0.000
Ca 0.351 0.351 0.000
Cu 0.750 0.250 0.500
Cu 0.946 0.446 0.500
Cu 0.446 0.946 0.500
Cu 0.054 0.554 0.500
Cu 0.554 0.054 0.500
Cu 0.250 0.750 0.500
P 0.802 0.802 0.000
P 0.500 0.500 0.000
P 0.198 0.198 0.000
P 0.894 0.894 0.000
P 0.106 0.106 0.000



# 2
An optimized crystal structure of CaCu4P2. Source: Materials Project, functional PBE.

Output
E_form: -3.1 eV/f.u.

a b c (Å): 7.279 7.279 3.798
angles (deg): 90.00 90.00 90.00
Atoms (fractional coordinates):
Ca 0.000 0.000 0.000
Ca 0.500 0.500 0.500
Cu 0.664 0.915 0.500
Cu 0.164 0.585 0.000
Cu 0.415 0.836 0.000
Cu 0.915 0.664 0.500
Cu 0.836 0.415 0.000
Cu 0.585 0.164 0.000
Cu 0.085 0.336 0.500
Cu 0.336 0.085 0.500
P 0.281 0.281 0.000
P 0.719 0.719 0.000
P 0.781 0.219 0.500
P 0.219 0.781 0.500



# 3
An optimized crystal structure of Ca5CuPb3. Source: Materials Project, functional PBE.

Output
total magnetic moment: 0.00 μB/cell
E_form: -3.9 eV/f.u.

a b c (Å): 9.626 9.626 6.775
angles (deg): 90.00 90.00 120.00
Atoms (fractional coordinates):
Ca 0.745 0.745 0.250
Ca 0.333 0.667 0.500
Ca 0.255 0.255 0.750
Ca 0.255 0.000 0.250
Ca 0.667 0.333 0.000
Ca 0.745 0.000 0.750
Ca 0.000 0.255 0.250
Ca 0.667 0.333 0.500
Ca 0.000 0.745 0.750
Ca 0.333 0.667 0.000
Cu 0.000 0.000 0.500
Cu 0.000 0.000 0.000
Pb 0.596 0.000 0.250
Pb 0.596 0.596 0.750
Pb 0.000 0.596 0.250
Pb 0.404 0.404 0.250
Pb 0.000 0.404 0.750
Pb 0.404 0.000 0.750



# 4
An optimized crystal structure of Ca2CuRh. Source: Materials Project, functional PBE.

Output
total magnetic moment: 0.00 μB/cell
E_form: -0.8 eV/f.u.

a b c (Å): 4.948 4.948 4.948
angles (deg): 60.00 60.00 60.00
Atoms (fractional coordinates):
Ca 0.750 0.750 0.750
Ca 0.250 0.250 0.250
Cu 0.500 0.500 0.500
Rh 0.000 0.000 0.000



# 5
An optimized crystal structure of CaScCu3Se4. Source: Materials Project, functional PBE.

Output
total magnetic moment: 0.00 μB/cell
E_form: -9.6 eV/f.u.

a b c (Å): 6.039 6.039 6.039
angles (deg): 90.00 90.00 90.00
Atoms (fractional coordinates):
Ca 0.500 0.500 0.500
Sc 0.000 0.000 0.000
Cu 0.000 0.500 0.000
Cu 0.000 0.000 0.500
Cu 0.500 0.000 0.000
Se 0.237 0.237 0.237
Se 0.763 0.763 0.237
Se 0.237 0.763 0.763
Se 0.763 0.237 0.763



# 6
An optimized crystal structure of CaVCu3Se4. Source: Materials Project, functional PBE.

Output
total magnetic moment: 2.00 μB/cell
E_form: -6.9 eV/f.u.

a b c (Å): 5.953 5.953 5.953
angles (deg): 90.00 90.00 90.00
Atoms (fractional coordinates):
Ca 0.500 0.500 0.500
V 0.000 0.000 0.000
Cu 0.000 0.500 0.000
Cu 0.000 0.000 0.500
Cu 0.500 0.000 0.000
Se 0.232 0.232 0.232
Se 0.768 0.768 0.232
Se 0.232 0.768 0.768
Se 0.768 0.232 0.768



# 7
An optimized crystal structure of CaCuSn. Source: Materials Project, functional PBE.

Output
E_form: -1.3 eV/f.u.

a b c (Å): 11.931 11.931 11.931
angles (deg): 157.70 141.03 45.36
Atoms (fractional coordinates):
Ca 0.760 0.835 0.925
Ca 0.669 0.669 0.000
Ca 0.425 0.500 0.925
Ca 0.001 0.000 0.001
Ca 0.090 0.165 0.925
Ca 0.332 0.331 0.000
Cu 0.066 0.768 0.298
Cu 0.556 0.928 0.628
Cu 0.530 0.232 0.298
Cu 0.232 0.603 0.629
Cu 0.701 0.072 0.628
Cu 0.026 0.397 0.629
Sn 0.730 0.431 0.299
Sn 0.202 0.903 0.299
Sn 0.892 0.266 0.626
Sn 0.360 0.734 0.626
Sn 0.867 0.569 0.299
Sn 0.397 0.097 0.299



# 8
An optimized crystal structure of Ca3Cu8Sn4. Source: Materials Project, functional PBE.

Output
E_form: -4.3 eV/f.u.

a b c (Å): 9.144 9.144 7.753
angles (deg): 90.00 90.00 120.00
Atoms (fractional coordinates):
Ca 0.476 0.524 0.499
Ca 0.951 0.476 0.999
Ca 0.524 0.049 0.999
Ca 0.049 0.524 0.499
Ca 0.476 0.951 0.499
Ca 0.524 0.476 0.999
Cu 0.794 0.897 0.470
Cu 0.000 0.000 0.719
Cu 0.673 0.836 0.160
Cu 0.897 0.794 0.970
Cu 0.836 0.164 0.660
Cu 0.164 0.836 0.160
Cu 0.206 0.103 0.970
Cu 0.164 0.327 0.160
Cu 0.000 0.000 0.219
Cu 0.333 0.667 0.839
Cu 0.836 0.673 0.660
Cu 0.897 0.103 0.970
Cu 0.103 0.206 0.470
Cu 0.103 0.897 0.470
Cu 0.327 0.164 0.660
Cu 0.667 0.333 0.339
Sn 0.333 0.667 0.196
Sn 0.169 0.338 0.788
Sn 0.662 0.831 0.788
Sn 0.338 0.169 0.288
Sn 0.831 0.662 0.288
Sn 0.667 0.333 0.696
Sn 0.169 0.831 0.788
Sn 0.831 0.169 0.288



# 9
An optimized crystal structure of CaCu2Sn2. Source: Materials Project, functional PBE.

Output
E_form: -1.6 eV/f.u.

a b c (Å): 4.251 4.877 5.896
angles (deg): 106.57 111.13 90.00
Atoms (fractional coordinates):
Ca 0.000 0.000 0.000
Cu 0.263 0.867 0.527
Cu 0.737 0.133 0.473
Sn 0.643 0.568 0.286
Sn 0.357 0.432 0.714



# 10
An optimized crystal structure of CaDy3. Source: Materials Project, functional PBE.

Output
total magnetic moment: 0.16 μB/cell
E_form: 0.5 eV/f.u.

a b c (Å): 6.228 6.228 6.228
angles (deg): 131.69 131.69 70.71
Atoms (fractional coordinates):
Ca 0.000 0.000 0.000
Dy 0.750 0.250 0.500
Dy 0.250 0.750 0.500
Dy 0.500 0.500 0.000



# 11
An optimized crystal structure of Ca3Dy. Source: Materials Project, functional PBE.

Output
total magnetic moment: 0.02 μB/cell
E_form: 0.5 eV/f.u.

a b c (Å): 7.544 7.544 6.237
angles (deg): 90.00 90.00 120.00
Atoms (fractional coordinates):
Ca 0.170 0.341 0.250
Ca 0.659 0.830 0.250
Ca 0.170 0.830 0.250
Ca 0.830 0.659 0.750
Ca 0.341 0.170 0.750
Ca 0.830 0.170 0.750
Dy 0.333 0.667 0.750
Dy 0.667 0.333 0.250



# 12
An optimized crystal structure of CaDyHg2. Source: Materials Project, functional PBE.

Output
E_form: -2.1 eV/f.u.

a b c (Å): 5.301 5.301 5.301
angles (deg): 60.00 60.00 60.00
Atoms (fractional coordinates):
Ca 0.000 0.000 0.000
Dy 0.500 0.500 0.500
Hg 0.750 0.750 0.750
Hg 0.250 0.250 0.250



# 13
An optimized crystal structure of NaCaDySeO6. Source: Materials Project, functional PBE.

Output
total magnetic moment: 0.00 μB/cell
E_form: -24.0 eV/f.u.

a b c (Å): 5.650 5.650 5.650
angles (deg): 60.00 60.00 60.00
Atoms (fractional coordinates):
Na 0.250 0.250 0.250
Ca 0.750 0.750 0.750
Dy 0.000 0.000 0.000
Se 0.500 0.500 0.500
O 0.727 0.273 0.273
O 0.273 0.727 0.727
O 0.727 0.273 0.727
O 0.273 0.727 0.273
O 0.727 0.727 0.273
O 0.273 0.273 0.727



# 14
An optimized crystal structure of SrCaDyNbO6. Source: Materials Project, functional PBE.

Output
total magnetic moment: 0.00 μB/cell
E_form: -33.4 eV/f.u.

a b c (Å): 5.943 5.943 5.943
angles (deg): 60.00 60.00 60.00
Atoms (fractional coordinates):
Sr 0.250 0.250 0.250
Ca 0.750 0.750 0.750
Dy 0.000 0.000 0.000
Nb 0.500 0.500 0.500
O 0.738 0.262 0.262
O 0.262 0.738 0.738
O 0.738 0.262 0.738
O 0.262 0.738 0.262
O 0.738 0.738 0.262
O 0.262 0.262 0.738



# 15
An optimized crystal structure of Ca2DySbO6. Source: Materials Project, functional PBE.

Output
total magnetic moment: 0.00 μB/cell
E_form: -29.4 eV/f.u.

a b c (Å): 5.882 5.882 5.882
angles (deg): 60.00 60.00 60.00
Atoms (fractional coordinates):
Ca 0.250 0.250 0.250
Ca 0.750 0.750 0.750
Dy 0.000 0.000 0.000
Sb 0.500 0.500 0.500
O 0.738 0.262 0.262
O 0.262 0.738 0.738
O 0.738 0.262 0.738
O 0.262 0.738 0.262
O 0.738 0.738 0.262
O 0.262 0.262 0.738



# 16
An optimized crystal structure of SrCaDySbO6. Source: Materials Project, functional PBE.

Output
total magnetic moment: 0.00 μB/cell
E_form: -30.0 eV/f.u.

a b c (Å): 5.908 5.908 5.908
angles (deg): 60.00 60.00 60.00
Atoms (fractional coordinates):
Sr 0.750 0.750 0.750
Ca 0.250 0.250 0.250
Dy 0.000 0.000 0.000
Sb 0.500 0.500 0.500
O 0.738 0.262 0.262
O 0.262 0.738 0.738
O 0.738 0.262 0.738
O 0.262 0.738 0.262
O 0.738 0.738 0.262
O 0.262 0.262 0.738



# 17
An optimized crystal structure of CaDyRh2. Source: Materials Project, functional PBE.

Output
E_form: -2.5 eV/f.u.

a b c (Å): 4.838 4.838 4.838
angles (deg): 60.00 60.00 60.00
Atoms (fractional coordinates):
Ca 0.500 0.500 0.500
Dy 0.000 0.000 0.000
Rh 0.250 0.250 0.250
Rh 0.750 0.750 0.750



# 18
An optimized crystal structure of CaDy2S4. Source: Materials Project, functional PBE.

Output
total magnetic moment: 0.00 μB/cell
E_form: -16.5 eV/f.u.

a b c (Å): 7.253 7.253 7.253
angles (deg): 109.51 109.51 109.40
Atoms (fractional coordinates):
Ca 0.750 0.250 0.500
Ca 0.000 0.000 0.000
Dy 0.375 0.752 0.877
Dy 0.502 0.625 0.377
Dy 0.875 0.498 0.123
Dy 0.248 0.125 0.623
S 0.987 0.737 0.605
S 0.132 0.381 0.395
S 0.618 0.513 0.750
S 0.487 0.237 0.105
S 0.131 0.382 0.895
S 0.263 0.868 0.250
S 0.619 0.013 0.750
S 0.763 0.869 0.250



# 19
An optimized crystal structure of CaDyZn2. Source: Materials Project, functional PBE.

Output
E_form: -1.2 eV/f.u.

a b c (Å): 5.102 5.102 5.102
angles (deg): 60.00 60.00 60.00
Atoms (fractional coordinates):
Ca 0.500 0.500 0.500
Dy 0.000 0.000 0.000
Zn 0.250 0.250 0.250
Zn 0.750 0.750 0.750